MgSi2 (PBE, relaxed); energy above the most stable polymorph in this dataset = 220 meV/atom; M_tot = 0.001 μB/atom; V = 16.6 Å³ per atom; ΔE_f = 297 meV/atom
1.0
1.422 -3.725 -2.972
4.424 -1.894 -1.256
0.605 -4.395 3.633
Mg Si
2 4
direct
0.164 0.164 0.176
0.836 0.836 0.824
0.845 0.845 0.334
0.500 0.500 0.000
0.155 0.155 0.666
0.500 0.500 0.500

CeSm3S4 (PBE, relaxed); V = 22.8 Å³ per atom; ΔE_f = -2286 meV/atom
1.0
-6.586 0.140 2.257
-5.075 -3.390 3.354
0.979 2.425 6.456
S Sm Ce
4 3 1
direct
0.875 0.875 0.375
0.374 0.374 0.875
0.125 0.125 0.625
0.626 0.626 0.125
0.752 0.752 0.749
0.500 0.500 0.500
0.248 0.248 0.251
0.000 0.000 0.000

Ga3P3H6CNO13 (PBE, relaxed); M_tot = 0.037 μB/atom; V = 12.0 Å³ per atom; ΔE_f = -1824 meV/atom
1.0
5.875 4.284 -7.445
-7.710 -6.852 -10.028
-10.830 13.404 -0.832
P O Ga C H N
24 104 24 8 48 8
direct
0.632 0.933 0.416
0.867 0.045 0.656
0.368 0.067 0.584
0.633 0.045 0.156
0.634 0.747 0.700
0.868 0.933 0.916
0.132 0.067 0.084
0.868 0.433 0.584
0.366 0.753 0.200
0.133 0.955 0.344
0.134 0.753 0.700
0.366 0.253 0.300
0.368 0.567 0.916
0.632 0.433 0.084
0.866 0.747 0.200
0.867 0.545 0.844
0.133 0.455 0.156
0.134 0.253 0.800
0.634 0.247 0.800
0.367 0.955 0.844
0.132 0.567 0.416
0.866 0.247 0.300
0.633 0.545 0.344
0.367 0.455 0.656
0.452 0.978 0.585
0.818 0.035 0.740
0.512 0.985 0.142
0.952 0.522 0.585
0.597 0.149 0.136
0.786 0.766 0.274
0.833 0.152 0.337
0.214 0.234 0.726
0.336 0.182 0.365
0.233 0.984 0.405
0.268 0.045 0.115
0.732 0.955 0.885
0.233 0.484 0.095
0.836 0.818 0.135
0.318 0.465 0.740
0.733 0.016 0.095
0.601 0.977 0.715
0.786 0.266 0.226
0.989 0.249 0.780
0.714 0.266 0.726
0.333 0.348 0.337
0.182 0.465 0.240
0.649 0.396 0.001
0.767 0.516 0.905
0.601 0.477 0.785
0.682 0.535 0.260
0.286 0.234 0.226
0.952 0.022 0.915
0.566 0.856 0.366
0.318 0.965 0.760
0.667 0.152 0.837
0.167 0.348 0.837
0.267 0.484 0.595
0.489 0.751 0.720
0.399 0.523 0.215
0.048 0.478 0.415
0.011 0.751 0.220
0.351 0.604 0.999
0.714 0.766 0.774
0.011 0.251 0.280
0.899 0.977 0.215
0.097 0.851 0.364
0.403 0.851 0.864
0.333 0.848 0.163
0.268 0.545 0.385
0.452 0.478 0.915
0.232 0.545 0.885
0.664 0.318 0.865
0.733 0.516 0.405
0.934 0.356 0.634
0.833 0.652 0.163
0.903 0.149 0.636
0.899 0.477 0.285
0.403 0.351 0.636
0.066 0.144 0.134
0.101 0.023 0.785
0.489 0.251 0.780
0.548 0.522 0.085
0.182 0.965 0.260
0.667 0.652 0.663
0.903 0.649 0.864
0.434 0.644 0.866
0.836 0.318 0.365
0.682 0.035 0.240
0.214 0.734 0.774
0.548 0.022 0.415
0.164 0.182 0.865
0.818 0.535 0.760
0.988 0.985 0.642
0.267 0.984 0.905
0.488 0.515 0.642
0.012 0.015 0.358
0.649 0.896 0.499
0.351 0.104 0.501
0.149 0.604 0.499
0.012 0.515 0.142
0.989 0.749 0.720
0.597 0.649 0.364
0.399 0.023 0.285
0.048 0.978 0.085
0.488 0.015 0.858
0.566 0.356 0.134
0.768 0.455 0.115
0.434 0.144 0.634
0.851 0.396 0.501
0.101 0.523 0.715
0.149 0.104 0.001
0.851 0.896 0.999
0.511 0.249 0.280
0.511 0.749 0.220
0.164 0.682 0.635
0.767 0.016 0.595
0.232 0.045 0.615
0.934 0.856 0.866
0.167 0.848 0.663
0.097 0.351 0.136
0.066 0.644 0.366
0.664 0.818 0.635
0.512 0.485 0.358
0.336 0.682 0.135
0.732 0.455 0.615
0.768 0.955 0.385
0.988 0.485 0.858
0.286 0.734 0.274
0.883 0.257 0.694
0.843 0.028 0.308
0.343 0.472 0.308
0.843 0.528 0.192
0.883 0.757 0.806
0.617 0.757 0.306
0.620 0.440 0.895
0.617 0.257 0.194
0.117 0.243 0.194
0.880 0.440 0.395
0.380 0.060 0.395
0.157 0.472 0.808
0.383 0.743 0.806
0.343 0.972 0.192
0.120 0.560 0.605
0.620 0.940 0.605
0.657 0.028 0.808
0.383 0.243 0.694
0.157 0.972 0.692
0.117 0.743 0.306
0.880 0.940 0.105
0.657 0.528 0.692
0.120 0.060 0.895
0.380 0.560 0.105
0.103 0.248 0.484
0.897 0.752 0.516
0.103 0.748 0.016
0.603 0.252 0.484
0.397 0.248 0.984
0.603 0.752 0.016
0.897 0.252 0.984
0.397 0.748 0.516
0.015 0.289 0.486
0.346 0.261 0.930
0.351 0.106 0.983
0.977 0.368 0.040
0.993 0.872 0.557
0.664 0.736 0.967
0.649 0.894 0.017
0.654 0.739 0.070
0.493 0.128 0.943
0.477 0.132 0.040
0.836 0.736 0.467
0.649 0.394 0.483
0.993 0.372 0.943
0.846 0.739 0.570
0.015 0.789 0.014
0.154 0.761 0.070
0.477 0.632 0.460
0.846 0.239 0.930
0.154 0.261 0.430
0.851 0.394 0.983
0.485 0.789 0.514
0.851 0.894 0.517
0.164 0.264 0.533
0.336 0.764 0.467
0.149 0.606 0.017
0.351 0.606 0.517
0.007 0.128 0.443
0.977 0.868 0.460
0.346 0.761 0.570
0.523 0.368 0.540
0.164 0.764 0.967
0.493 0.628 0.557
0.336 0.264 0.033
0.507 0.872 0.057
0.023 0.132 0.540
0.985 0.711 0.514
0.515 0.211 0.486
0.985 0.211 0.986
0.149 0.106 0.483
0.664 0.236 0.533
0.654 0.239 0.430
0.836 0.236 0.033
0.507 0.372 0.443
0.023 0.632 0.960
0.485 0.289 0.986
0.515 0.711 0.014
0.523 0.868 0.960
0.007 0.628 0.057
0.067 0.147 0.487
0.433 0.147 0.987
0.433 0.647 0.513
0.567 0.353 0.487
0.067 0.647 0.013
0.933 0.853 0.513
0.567 0.853 0.013
0.933 0.353 0.987

LiRh (PBE, relaxed); V = 13.6 Å³ per atom; ΔE_f = -189 meV/atom
1.0
1.806 -1.713 -0.988
-1.002 -0.379 2.455
-3.217 -2.419 -1.687
Rh Li
1 1
direct
0.667 0.333 0.000
0.000 0.000 0.500